This record from Materials Project describes a relaxed structure of Tb4InIr. The functional is GGA-PBE.

It has space group F-43m (No. 216), with a = 13.735 Å, b = 13.735 Å, c = 13.735 Å, α = 90.00°, β = 90.00° and γ = 90.00°. The distinct sites, in fractional coordinates, are Tb at (0.000, 0.000, 0.190), Tb at (0.059, 0.250, 0.750), Tb at (0.099, 0.099, 0.401), In at (0.167, 0.167, 0.167) and Ir at (0.109, 0.109, 0.609).

Its final energy is -5.60 eV/atom. Its crystal system is cubic.

=====

This record from Materials Project describes a relaxed structure of CsAs2Rh2. The functional is GGA-PBE.

It has space group I4/mmm (No. 139), with a = 4.067 Å, b = 4.067 Å, c = 14.966 Å, α = 90.00°, β = 90.00° and γ = 90.00°. The distinct sites, in fractional coordinates, are Cs at (0.000, 0.000, 0.000), As at (0.000, 0.000, 0.342) and Rh at (0.000, 0.500, 0.250).

Its final energy is -5.60 eV/atom. Its crystal system is tetragonal.